No. 1
Entry from the Materials Project database: a relaxed K3Sn2S3ClO12 crystal (GGA-PBE).

```
K3Sn2S3ClO12
1.0
7.6766 0.0000 0.0000
0.0000 10.2875 0.0000
0.0000 5.0785 9.0808
K Sn S Cl O
6 4 6 2 24
Cartesian
7.4898 4.9895 3.0110
3.7698 5.0956 3.0706
5.5232 3.8867 6.8055
1.6849 11.4793 2.2753
3.6515 10.3765 6.0698
7.6081 10.2704 6.0102
1.4254 7.5728 0.1211
1.4200 6.1835 6.7631
5.2583 9.1825 2.3177
5.2636 7.7931 8.9597
1.8767 7.9980 3.3880
1.8853 4.1215 0.2035
1.7680 3.4710 5.4149
5.6063 11.8950 3.6658
5.7236 11.2445 8.8772
5.7149 7.3680 5.6928
0.0197 5.0063 8.8924
3.8580 10.3597 0.1884
0.7929 7.9367 2.3163
3.1994 7.9646 2.6598
1.7549 6.7732 4.2278
5.5793 6.1367 4.9050
5.6826 5.8991 1.2435
1.8251 5.4335 0.9796
0.5407 4.3410 5.7685
2.9394 4.2769 5.8867
3.2119 3.4763 0.5854
1.7984 3.3017 3.9488
0.7873 3.2607 0.6647
5.5153 2.9049 2.9705
1.6771 12.4611 6.1103
4.6256 12.1052 8.4161
5.6367 12.0643 5.1320
7.0502 11.8897 8.4954
6.7777 11.0891 3.1940
4.3790 11.0250 3.3123
5.6634 9.9324 8.1012
1.8443 9.4669 7.8373
1.7410 9.2293 4.1758
5.5932 8.5927 4.8530
7.0377 7.4014 6.4210
4.6312 7.4293 6.7645
```

Energy of formation: -2.022 eV/atom

---

No. 2
Entry from the Materials Project database: a relaxed KSn4S3ClO12 crystal (GGA-PBE).

```
KSn4S3ClO12
1.0
0.7794 7.9259 -6.3704
-7.9257 -6.3755 -0.7385
-4.3093 4.7357 5.3649
K Sn S Cl O
2 8 6 2 24
Cartesian
-9.2174 3.0000 2.6049
-4.1611 5.3993 -1.9548
-6.9900 0.5521 -0.1682
-6.2429 7.6871 0.6369
-2.6225 1.3579 -0.0980
-8.2324 1.1207 -4.3946
-8.8037 4.8958 -1.6826
-7.4050 -3.8005 0.6140
-3.1938 5.1331 2.6140
-4.0212 10.0542 -2.3946
-4.3050 -1.0431 0.7727
-5.6792 1.8305 -2.8676
-7.1892 7.3717 -2.4686
-8.3777 -1.9970 -1.6566
-5.8150 4.4981 1.1718
-3.1165 8.3256 -0.0393
-4.2905 4.7150 5.3415
-2.1359 2.3472 2.6591
-1.6346 4.2050 -1.7581
-3.2288 5.9130 -4.5463
-9.8311 2.0921 0.0266
-4.7506 2.9266 -3.1325
-8.2368 0.3841 2.8148
-6.7151 3.3705 1.4010
-5.6564 -1.3351 0.1404
-5.2487 1.0490 -1.6366
-5.9673 7.8059 -1.6750
-7.6511 -0.7102 -2.0134
-6.3750 5.4218 0.1020
-3.9727 7.1810 0.4788
-4.3840 0.3824 1.3019
-7.0926 2.3211 -2.5851
-8.3367 7.2940 -1.4708
-8.7251 -1.8913 -0.1779
-5.6281 5.3553 2.4162
-3.9957 9.5678 0.0090
-3.2533 -1.0433 -0.3073
-5.7786 0.8817 -4.0349
-6.9654 5.9701 -2.9766
-7.4168 -3.1507 -1.7913
-4.4402 4.0451 0.7510
-2.8019 8.0775 -1.4925
```

Energy of formation: -1.617 eV/atom

---

No. 3
Entry from the Materials Project database: a relaxed K2SnCl4O crystal (GGA-PBE).

```
K2SnCl4O
1.0
7.4152 0.0000 0.0000
0.0000 9.5579 0.0000
0.0000 0.0000 12.4715
K Sn Cl O
8 4 16 4
Cartesian
6.6097 0.2644 8.2088
4.5132 4.5146 1.9730
0.8056 5.0434 4.2627
2.9020 9.2935 10.4985
0.8056 9.2935 4.2627
2.9020 5.0434 10.4985
6.6097 4.5146 8.2088
4.5132 0.2644 1.9730
3.5044 7.1684 5.8310
0.2032 7.1684 12.0668
3.9108 2.3895 6.6405
7.2120 2.3895 0.4047
4.2965 7.1684 8.2456
6.8264 7.1684 2.0098
3.1187 2.3895 4.2260
0.5889 2.3895 10.4617
5.1094 5.3699 5.3838
6.0134 8.9670 11.6195
2.3058 0.5909 7.0877
1.4018 4.1881 0.8520
2.3058 4.1881 7.0877
1.4018 0.5909 0.8520
5.1094 8.9670 5.3838
6.0134 5.3699 11.6195
4.3028 2.3895 9.2630
6.8200 2.3895 3.0273
3.1124 7.1684 3.2085
0.5952 7.1684 9.4442
5.8131 2.3895 6.5326
5.3097 2.3895 0.2968
1.6021 7.1684 5.9389
2.1055 7.1684 12.1747
```

E above lowest polymorph: 0.00 eV per formula unit
Energy of formation: -1.470 eV/atom

---

No. 4
Entry from the Materials Project database: a relaxed K2SnCl4O crystal (GGA-PBE).

```
K2SnCl4O
1.0
4.1708 0.0000 0.0000
0.0000 8.5844 0.0000
0.0000 0.0000 12.0286
K Sn Cl O
4 2 8 2
Cartesian
2.0854 0.5783 7.7760
2.0854 3.7139 1.7617
2.0854 8.0061 4.2526
2.0854 4.8705 10.2669
0.0000 4.2922 6.0143
0.0000 0.0000 0.0000
0.0000 3.1931 8.3819
0.0000 1.0991 2.3676
0.0000 5.3913 3.6467
0.0000 7.4853 9.6610
2.0854 2.7156 5.2438
2.0854 1.5765 11.2581
2.0854 5.8687 6.7848
2.0854 7.0078 0.7705
0.0000 0.0000 6.0143
0.0000 4.2922 0.0000
```

E above lowest polymorph: 2.24 eV per formula unit
Energy of formation: -1.190 eV/atom

---

No. 5
Entry from the Materials Project database: a relaxed K3Tc2Cl8O3 crystal (GGA-PBE).

```
K3Tc2Cl8O3
1.0
-10.2392 4.9427 -6.5837
5.1088 -11.5787 -3.5286
-5.2280 -3.8938 5.2076
K Tc Cl O
9 6 24 9
Cartesian
-9.0971 2.2522 -2.9930
0.1841 -10.9124 0.9373
-1.4454 -1.8696 -2.8490
-8.1973 -2.4821 -0.1066
-7.1245 -0.0692 -6.1371
-0.5738 -5.9945 -1.6694
-6.5278 -3.9683 -3.9976
-3.9926 -11.4419 -0.2630
-4.6593 -7.6334 -2.5405
-2.3988 -7.5750 1.6858
-2.7569 -4.8980 -5.5838
-5.5354 0.1808 -1.8123
-1.0867 -10.3750 -3.5464
-8.6004 -6.9238 -1.2898
-10.6970 -1.9984 -4.1677
-2.0119 -8.6276 -0.4338
-5.7431 -8.4546 0.4055
-7.4937 -0.7991 -2.7899
-1.6962 -8.1556 -4.2199
-4.3276 -1.7031 -4.7432
-9.8028 -3.8494 -2.9329
-6.7153 -5.4547 -1.0114
-5.7933 1.8015 -3.5720
-3.3203 -4.6575 -3.2570
-9.1416 -2.7177 -5.8567
-2.6381 -9.8386 2.4658
-3.4668 -10.7223 -3.4829
-3.8455 -7.0121 3.4339
-4.6749 -6.2273 -5.7238
-3.2572 0.6935 -1.9212
-0.9832 -12.0375 -1.9061
-7.8758 -7.1382 -3.5021
-10.4387 0.1321 -5.0949
-3.1785 -5.7494 0.4705
-7.0362 -10.0001 -2.1248
-5.0039 -1.9658 -1.0862
0.8532 -9.4214 -2.6834
-5.5595 -3.4235 -7.1897
-11.1505 -1.0292 -2.1006
-5.1869 -3.3999 2.7889
-9.6321 3.3438 -5.5432
-1.2877 -2.1062 -0.0382
-7.6871 -6.9524 -6.8332
-0.5464 -13.6409 0.9930
-6.7352 -8.8338 -6.0815
-4.8777 -2.9933 4.0047
-0.6114 -1.2381 0.6884
-7.4834 -8.2452 -6.9940
```

Energy of formation: -0.987 eV/atom